The following is a DFT calculation (PBE) of an optimized crystal structure of Nd6Ga3Fe11.

Cell lengths 8.124, 8.124, 13.063 Å; angles 71.88, 71.88, 90.00 degrees
Positions (direct):
Nd (0.981, 0.481, 0.378)
Nd (0.481, 0.641, 0.378)
Nd (0.641, 0.141, 0.378)
Nd (0.395, 0.395, 0.211)
Nd (0.105, 0.105, 0.789)
Nd (0.605, 0.605, 0.789)
Nd (0.141, 0.981, 0.378)
Nd (0.895, 0.895, 0.211)
Nd (0.018, 0.518, 0.628)
Nd (0.518, 0.353, 0.628)
Nd (0.353, 0.853, 0.628)
Nd (0.853, 0.018, 0.628)
Fe (0.569, 0.290, 0.999)
Fe (0.211, 0.932, 0.999)
Fe (0.290, 0.432, 0.999)
Fe (0.069, 0.211, 0.999)
Fe (0.711, 0.569, 0.999)
Fe (0.708, 0.208, 0.812)
Fe (0.881, 0.381, 0.882)
Fe (0.980, 0.708, 0.812)
Fe (0.737, 0.881, 0.882)
Fe (0.932, 0.790, 0.999)
Fe (0.619, 0.769, 0.112)
Fe (0.269, 0.119, 0.112)
Fe (0.769, 0.269, 0.112)
Fe (0.381, 0.237, 0.882)
Fe (0.501, 0.001, 0.999)
Fe (0.790, 0.069, 0.999)
Fe (0.001, 0.501, 0.999)
Fe (0.237, 0.737, 0.882)
Fe (0.432, 0.711, 0.999)
Fe (0.119, 0.619, 0.112)
Fe (0.208, 0.480, 0.812)
Fe (0.480, 0.980, 0.812)
Ga (0.026, 0.284, 0.191)
Ga (0.526, 0.026, 0.191)
Ga (0.784, 0.526, 0.191)
Ga (0.750, 0.750, 0.499)
Ga (0.284, 0.784, 0.191)
Ga (0.250, 0.250, 0.499)

ΔH_f (0 K) ... -151 meV/atom